No. 1
! PBE+U Li3Zn2Fe19O32, relaxed; values from VASP
! **SG**: P1, No. 1
! **ΔE to the lowest computed polymorph**: 3.5 meV/atom
&SYSTEM
  ibrav = 0, nat = 56, ntyp = 4
/
ATOMIC_SPECIES
Fe 55.84 Fe.upf
O 16.00 O.upf
Li 6.94 Li.upf
Zn 65.41 Zn.upf
CELL_PARAMETERS angstrom
-0.6887 -3.2357 5.0205
4.4100 4.0723 -0.3581
-13.0657 14.5109 3.9660
ATOMIC_POSITIONS crystal
Fe 0.0640 0.2886 0.8428
Fe 0.5673 0.5322 0.0953
Fe 0.0610 0.5307 0.0958
Fe 0.0690 0.2775 0.3448
Fe 0.5028 0.7546 0.2520
Fe 0.9967 0.4955 0.5006
Fe 0.0519 0.0268 0.5936
Fe 0.5671 0.0372 0.0962
Fe 0.5089 0.2541 0.7474
Fe 0.5672 0.0279 0.5936
Fe 0.6150 0.3099 0.9353
Fe 0.8128 0.4111 0.2166
Fe 0.5533 0.2759 0.3450
Fe 0.0669 0.7911 0.3446
Fe 0.0635 0.7792 0.8428
Fe 0.3093 0.1494 0.4663
Fe 0.8126 0.9082 0.7142
Fe 0.0030 0.0016 0.0019
Fe 0.5681 0.5435 0.5937
O 0.4209 0.4369 0.4038
O 0.2006 0.8398 0.0374
O 0.6653 0.3262 0.5331
O 0.6992 0.1168 0.2828
O 0.4183 0.9568 0.9052
O 0.4692 0.2373 0.1533
O 0.6999 0.5898 0.2831
O 0.4192 0.4673 0.9046
O 0.1747 0.0894 0.7821
O 0.6893 0.8502 0.5396
O 0.9623 0.9810 0.4034
O 0.6915 0.3480 0.0356
O 0.9221 0.6901 0.1529
O 0.9124 0.1887 0.6501
O 0.4195 0.9778 0.4030
O 0.1813 0.5926 0.7909
O 0.1982 0.3612 0.0366
O 0.7065 0.0925 0.7805
O 0.9397 0.9714 0.9029
O 0.6774 0.8404 0.0366
O 0.4690 0.7403 0.6514
O 0.4365 0.7183 0.1532
O 0.4369 0.2144 0.6482
O 0.9312 0.4657 0.4006
O 0.2037 0.8605 0.5338
O 0.1973 0.3325 0.5320
O 0.9422 0.4733 0.9027
O 0.1713 0.5858 0.2830
O 0.9203 0.2354 0.1535
O 0.7052 0.6148 0.7798
O 0.9235 0.7338 0.6518
O 0.1941 0.0973 0.2889
Li 0.1260 0.5666 0.6878
Li 0.6240 0.8093 0.4382
Li 0.1273 0.0665 0.1861
Zn 0.3128 0.6582 0.9685
Zn 0.5568 0.7806 0.8422


No. 2
! PBE+U Li3ZnFe20O32, relaxed; values from VASP
! **SG**: Cm, No. 8
&SYSTEM
  ibrav = 0, nat = 56, ntyp = 4
/
ATOMIC_SPECIES
Fe 55.84 Fe.upf
O 16.00 O.upf
Li 6.94 Li.upf
Zn 65.41 Zn.upf
CELL_PARAMETERS angstrom
6.0118 5.9707 0.0000
-6.0118 5.9707 0.0000
0.0000 0.0797 8.4768
ATOMIC_POSITIONS crystal
Fe 0.2489 0.2489 0.7611
Fe 0.5069 0.0020 0.4963
Fe 0.7442 0.7442 0.7573
Fe 0.3785 0.1312 0.1210
Fe 0.1270 0.1270 0.3731
Fe 0.8768 0.3744 0.8768
Fe 0.6254 0.3751 0.6231
Fe 0.8723 0.1236 0.6323
Fe 0.3744 0.8768 0.8768
Fe 0.3751 0.6254 0.6231
Fe 0.1236 0.8723 0.6323
Fe 0.3808 0.3808 0.3732
Fe 0.7472 0.2478 0.2506
Fe 0.8775 0.6246 0.1244
Fe 0.5053 0.5053 0.9933
Fe 0.0020 0.5069 0.4963
Fe 0.6246 0.8775 0.1244
Fe 0.1312 0.3785 0.1210
Fe 0.2478 0.7472 0.2506
Fe 0.8721 0.8721 0.3737
O 0.8882 0.3796 0.1189
O 0.6148 0.1145 0.1264
O 0.1368 0.6355 0.6219
O 0.1187 0.1187 0.6157
O 0.6132 0.8780 0.8850
O 0.8816 0.8816 0.6187
O 0.8721 0.3719 0.6299
O 0.1160 0.8875 0.3824
O 0.1123 0.3759 0.8863
O 0.3759 0.6365 0.8656
O 0.1414 0.1414 0.1358
O 0.3796 0.8882 0.1189
O 0.3821 0.3821 0.6317
O 0.6163 0.6163 0.6245
O 0.6353 0.6353 0.1260
O 0.8875 0.1160 0.3824
O 0.8780 0.6132 0.8850
O 0.3759 0.1123 0.8863
O 0.8773 0.6355 0.3655
O 0.1267 0.3652 0.3659
O 0.8724 0.1410 0.8590
O 0.1145 0.6148 0.1264
O 0.1410 0.8724 0.8590
O 0.3652 0.1267 0.3659
O 0.3719 0.8721 0.6299
O 0.8668 0.8668 0.1346
O 0.6355 0.1368 0.6219
O 0.6294 0.3735 0.3872
O 0.3668 0.3668 0.1214
O 0.3735 0.6294 0.3872
O 0.6365 0.3759 0.8656
O 0.6355 0.8773 0.3655
Li 0.6276 0.1261 0.8753
Li 0.6247 0.6247 0.3739
Li 0.1261 0.6276 0.8753
Zn 0.0055 0.0055 0.9935


No. 3
! PBE+U LiZnFe4O8, relaxed; values from VASP
! **SG**: R3m, No. 160
&SYSTEM
  ibrav = 0, nat = 14, ntyp = 4
/
ATOMIC_SPECIES
O 16.00 O.upf
Fe 55.84 Fe.upf
Zn 65.41 Zn.upf
Li 6.94 Li.upf
CELL_PARAMETERS angstrom
0.0000 4.2333 4.2333
4.2333 0.0000 4.2333
4.2521 4.2521 -0.0188
ATOMIC_POSITIONS crystal
O 0.3771 0.8529 0.3928
O 0.8529 0.3771 0.3928
O 0.8719 0.4059 0.8502
O 0.3771 0.3771 0.3928
O 0.8719 0.8719 0.8502
O 0.4059 0.8719 0.8502
O 0.3792 0.3792 0.8624
O 0.8656 0.8656 0.4031
Fe 0.1160 0.6276 0.6289
Fe 0.6276 0.1160 0.6289
Fe 0.2478 0.2478 0.2565
Fe 0.6276 0.6276 0.6289
Zn 0.6277 0.6277 0.1170
Li 0.0016 0.0016 0.9953


| no. | final energy (eV/atom) | total energy after the MP2020 corrections (eV/atom) | calculated formation energy (meV per atom) |
| --- | --- | --- | --- |
| 1 | -6.39 | -7.547 | -1699 |
| 2 | -6.46 | -7.663 | -1686 |
| 3 | -6.08 | -7.118 | -1644 |